Compound: PmPd3
Source: Materials Project
Functional: PBE
Structure: optimized geometry

abc: 4.1872 4.1872 4.1872
angles: 90.00 90.00 90.00
Closest atoms and distances in Å follow each position.
Space group Pm-3m (No. 221)
One atom of each set of equivalent atoms:
Pm 0.0000 0.0000 0.0000  12 Pd 2.96
Pd 0.0000 0.5000 0.5000  4 Pm 2.96, 8 Pd 2.96

calculated formation energy: -814 meV per atom